(1)
SrSm2S4 | the Materials Project database | GGA-PBE | optimized geometry; energy relative to the elements = -2.363 eV per atom; largest piezoelectric modulus = 0.4 C/m²
1.0
-0.9757 0.5237 7.3887
-6.6301 0.2964 -3.4312
3.3400 -6.4864 -1.6092
Sr Sm S
2 4 8
Cartesian
-0.7193 -2.7764 3.8791 Sr
-3.8029 0.4100 1.9787 Sr
-3.0469 -0.1700 5.8950 Sm
-3.4916 -3.4982 1.0438 Sm
-3.1204 -5.2913 -2.5574 Sm
1.1272 -2.3732 0.3151 Sm
1.2509 -4.5491 2.2173 S
1.7370 -4.8347 -1.4756 S
-1.2833 -1.3406 1.3682 S
-1.4470 -3.6078 -0.9040 S
-2.0764 -5.2034 2.9033 S
-4.6001 -1.2161 -0.3460 S
-3.7353 -1.9597 3.7291 S
-6.9089 0.0459 1.9005 S

(2)
La6Ni20As13 | the Materials Project database | GGA-PBE | optimized geometry; energy relative to the elements = -0.689 eV per atom
1.0
6.6291 -11.4819 0.0000
6.6291 11.4819 0.0000
0.0000 0.0000 4.0276
La Ni As
6 20 13
Cartesian
8.9544 3.2475 0.0000 La
4.9643 2.1035 0.0000 La
5.9686 6.1310 0.0000 La
7.2528 -6.1513 2.0138 La
4.3046 -3.2055 2.0138 La
8.3299 -2.1251 2.0138 La
11.3965 1.2788 0.0000 Ni
2.0383 0.9728 0.0000 Ni
6.4524 9.2303 0.0000 Ni
6.6291 3.8273 2.0138 Ni
6.7327 -9.9160 2.0138 Ni
1.3044 -0.8727 2.0138 Ni
11.8502 -0.6933 2.0138 Ni
6.6291 -3.8273 0.0000 Ni
7.6071 0.2834 0.0000 Ni
3.0710 4.7523 0.0000 Ni
9.2092 6.4462 0.0000 Ni
9.6686 0.8141 2.0138 Ni
2.4998 2.7016 2.0138 Ni
7.7188 7.9662 2.0138 Ni
10.1952 -4.7180 2.0138 Ni
4.0747 -6.4703 2.0138 Ni
5.6174 -0.2936 2.0138 Ni
5.5401 -7.8155 0.0000 Ni
3.7198 -0.8901 0.0000 Ni
10.6275 -2.7764 0.0000 Ni
7.2819 1.5267 2.0138 As
4.3103 4.4123 2.0138 As
8.2951 5.5430 2.0138 As
11.2250 2.6757 2.0138 As
3.3338 0.4229 2.0138 As
5.3284 8.3833 2.0138 As
8.9125 -4.4474 0.0000 As
4.9504 -5.4947 0.0000 As
6.0244 -1.5398 0.0000 As
7.8998 -8.3175 0.0000 As
2.1051 -2.6827 0.0000 As
9.8824 -0.4817 0.0000 As
0.0000 0.0000 0.0000 As

(3)
Bi2CO5 | the Materials Project database | GGA-PBE | optimized geometry; energy relative to the elements = -1.771 eV per atom
1.0
3.2377 -5.2147 4.5098
2.0246 -2.3726 6.9486
-2.9671 -2.2939 1.1962
Bi C O
2 1 5
Cartesian
-1.6352 -3.1669 2.8596 Bi
3.9214 -6.7410 9.7886 Bi
1.0664 -5.1783 6.2698 C
0.6559 -6.3805 5.9789 O
0.5740 -4.2062 5.5568 O
1.7190 -7.4182 9.4892 O
1.9259 -5.0758 7.2427 O
0.5713 -2.4775 3.1619 O

(4)
K2MnP2 | the Materials Project database | GGA-PBE | optimized geometry; energy relative to the elements = 0.729 eV per atom
1.0
-2.0875 -0.8376 2.2959
-2.0977 -0.9351 -2.2484
5.6907 -13.4282 0.2754
K Mn P
2 1 2
Cartesian
1.5678 -9.5238 0.2009 K
-0.0624 -5.6771 0.1220 K
-2.0926 -0.8863 0.0237 Mn
-1.2182 -2.9498 0.0661 P
2.7236 -12.2511 0.2568 P

(5)
CeB2Ir2C | the Materials Project database | GGA-PBE | optimized geometry; energy relative to the elements = -0.616 eV per atom
1.0
3.8569 0.0000 0.0000
0.0000 3.8569 0.0000
-1.9285 -1.9285 5.1896
Ce B Ir C
1 2 2 1
Cartesian
1.9285 1.9285 0.0000 Ce
0.0000 0.0000 1.5178 B
1.9285 1.9285 3.6718 B
1.9285 0.0000 2.5948 Ir
0.0000 1.9285 2.5948 Ir
0.0000 0.0000 0.0000 C

(6)
NaH4IO2 | the Materials Project database | GGA-PBE | optimized geometry; energy relative to the elements = -1.265 eV per atom
1.0
5.1246 -3.2247 0.0939
-5.8715 -3.7025 -1.7864
3.5280 3.5058 -5.3224
Na H I O
2 8 2 4
Cartesian
2.5162 0.0995 -2.7915 Na
0.2648 -3.5209 -4.2233 Na
-1.5528 -4.6280 -2.3376 H
4.3339 1.2066 -4.6772 H
4.3174 -1.9993 -1.6715 H
-1.5364 -1.4222 -5.3433 H
1.0306 -5.3311 -2.0404 H
1.7505 1.9096 -4.9744 H
-2.7120 -1.5785 -2.6433 H
5.4930 -1.8430 -4.3715 H
-0.2230 -1.3701 -1.8177 I
3.0041 -2.0514 -5.1971 I
4.1773 -1.0335 -1.5242 O
-1.3963 -2.3880 -5.4906 O
1.5176 -5.0859 -2.8611 O
1.2634 1.6644 -4.1537 O

(7)
LiMg3 | the Materials Project database | GGA-PBE | optimized geometry; energy relative to the elements = -0.023 eV per atom
1.0
-1.5757 2.7265 5.1157
1.5757 -2.7265 5.1157
1.5757 2.7265 -5.1157
Li Mg
1 3
Cartesian
0.0000 1.8110 5.1157 Li
0.0000 1.8277 0.0000 Mg
1.5757 2.7247 2.5635 Mg
1.5757 2.7247 -2.5634 Mg

(8)
Zn3Rh | the Materials Project database | GGA-PBE | optimized geometry; energy relative to the elements = -0.320 eV per atom
1.0
2.7236 -4.7174 0.0000
2.7236 4.7174 0.0000
0.0000 0.0000 4.4042
Zn Rh
6 2
Cartesian
1.3734 0.7929 1.1010 Zn
4.0738 0.7929 1.1010 Zn
2.7236 3.1315 1.1010 Zn
4.0738 -0.7929 3.3031 Zn
1.3734 -0.7929 3.3031 Zn
2.7236 -3.1315 3.3031 Zn
2.7236 1.5725 3.3031 Rh
2.7236 -1.5725 1.1010 Rh

(9)
Hg | the Materials Project database | GGA-PBE | optimized geometry; energy relative to the elements = 0.001 eV per atom
1.0
1.7752 -3.1394 0.0000
1.7752 3.1394 0.0000
0.0000 0.0000 5.6441
Hg
2
Cartesian
1.7752 -2.1947 4.2331 Hg
1.7752 2.1947 1.4110 Hg

Which formula does entry 3 have?
Bi2CO5

Which formula does entry 4 have?
K2MnP2

Please write out number 4 again, unchanged.
K2MnP2 | the Materials Project database | GGA-PBE | optimized geometry; energy relative to the elements = 0.729 eV per atom
1.0
-2.0875 -0.8376 2.2959
-2.0977 -0.9351 -2.2484
5.6907 -13.4282 0.2754
K Mn P
2 1 2
Cartesian
1.5678 -9.5238 0.2009 K
-0.0624 -5.6771 0.1220 K
-2.0926 -0.8863 0.0237 Mn
-1.2182 -2.9498 0.0661 P
2.7236 -12.2511 0.2568 P

Which formula does entry 9 have?
Hg